# 1
88
Lattice="9.235 0.000 0.000 0.000 9.644 0.000 0.000 0.000 13.827" Properties=species:S:1:pos:R:3 comment="ThS2O8, optimized geometry, DFT PBE" spacegroup=Pbca e_form_ev_per_atom=-2.596 pbc="T T T"
S 4.573 2.674 6.110
S 7.584 8.645 11.668
O 5.399 1.383 0.229
S 7.584 3.822 9.073
Th 2.028 9.302 12.401
S 1.651 5.822 4.755
O 0.741 1.204 5.280
S 4.662 6.970 7.717
O 0.969 6.714 8.566
O 6.947 9.549 3.797
O 2.330 4.917 3.797
O 2.087 5.518 6.141
S 4.573 7.496 0.803
O 3.876 6.026 8.547
Th 7.207 5.165 5.488
O 2.531 0.696 7.686
O 3.727 7.919 7.045
O 6.646 2.421 2.484
O 3.649 1.892 5.261
O 8.344 6.547 7.045
O 3.649 6.714 1.652
O 8.344 1.725 13.696
O 7.148 4.126 7.686
O 4.800 4.004 2.273
O 0.182 0.818 2.273
Th 6.646 0.342 8.340
O 5.587 2.930 12.175
S 1.651 1.000 2.159
O 2.288 4.917 10.711
O 0.891 7.919 0.131
O 2.288 0.095 10.030
O 2.589 2.401 9.398
O 8.453 1.383 7.143
O 6.947 4.727 3.116
O 8.453 6.205 13.598
O 0.741 6.026 1.633
O 7.207 7.243 11.343
S 6.269 8.645 4.755
S 4.662 2.148 13.024
O 4.435 5.640 11.554
O 5.587 7.753 8.566
O 0.891 3.097 6.783
O 4.800 8.827 4.640
O 6.905 9.549 10.711
O 3.836 3.440 7.143
O 2.028 2.401 2.484
O 2.589 7.223 11.343
O 2.087 0.696 0.772
O 2.531 5.518 13.055
O 5.359 8.441 1.633
O 0.969 1.892 12.175
S 0.044 7.496 7.717
S 9.191 2.148 6.110
S 9.191 6.970 0.803
O 9.053 8.827 11.554
O 5.508 1.725 6.783
O 3.876 1.204 12.194
O 0.782 3.440 0.229
Th 6.646 5.165 12.401
O 6.646 7.243 4.430
O 7.207 2.421 9.398
S 0.044 2.674 13.024
O 3.727 3.097 13.696
O 5.508 6.547 0.131
O 6.704 4.126 0.772
O 0.182 5.640 4.640
O 6.905 4.727 10.030
S 6.269 3.822 2.159
O 2.028 7.223 4.430
Th 2.590 9.302 5.488
Th 2.590 4.480 1.426
O 3.836 8.262 13.598
O 7.148 8.948 13.055
O 4.435 0.818 9.187
O 8.494 8.441 8.547
O 0.782 8.262 6.685
O 8.266 7.753 1.652
S 2.966 5.822 11.668
Th 2.028 4.480 8.340
O 9.053 4.004 9.187
O 8.494 3.619 12.194
O 6.704 8.948 6.141
O 5.399 6.205 6.685
O 2.330 0.095 3.116
Th 7.207 0.342 1.426
O 5.359 3.619 5.280
O 8.266 2.930 5.261
S 2.966 1.000 9.073

---

# 2
8
Lattice="-1.007 -3.737 2.079 3.642 -1.869 -1.596 5.071 3.070 7.977" Properties=species:S:1:pos:R:3 comment="PrFeSb2, optimized geometry, DFT PBE" spacegroup=P4/nmm e_form_ev_per_atom=-0.598 pbc="T T T"
Sb 0.000 0.000 0.000
Sb 1.317 -2.803 0.242
Pr 0.792 -1.084 3.077
Fe 3.853 -1.268 4.230
Fe 2.535 1.535 3.988
Sb 2.706 0.075 6.088
Pr 5.596 1.351 5.141
Sb 3.682 0.192 2.130

---

# 3
6
Lattice="0.000 3.450 3.450 3.450 0.000 3.450 3.450 3.450 0.000" Properties=species:S:1:pos:R:3 comment="ScNi4Sn, optimized geometry, DFT PBE" spacegroup=F-43m e_form_ev_per_atom=-0.412 pbc="T T T"
Ni 4.312 2.587 2.587
Sn 1.725 1.725 1.725
Ni 2.587 4.312 2.587
Ni 4.312 4.312 4.312
Sc 0.000 0.000 0.000
Ni 2.587 2.587 4.312

---

# 4
6
Lattice="-2.947 0.747 4.390 -2.961 3.155 -3.130 0.923 -5.259 0.088" Properties=species:S:1:pos:R:3 comment="LuCu2, optimized geometry, DFT PBE" spacegroup=Imma e_form_ev_per_atom=-0.294 pbc="T T T"
Cu -3.915 -1.775 0.919
Lu -1.277 -2.345 -0.455
Cu -1.071 0.418 0.429
Lu -3.709 0.987 1.803
Cu -1.883 -1.392 2.224
Cu -3.103 0.034 -0.876

---

# 5
16
Lattice="3.902 0.002 -0.013 0.002 3.902 0.013 -0.054 0.054 15.690" Properties=species:S:1:pos:R:3 comment="CsLa2Ti2NbO10, optimized geometry, DFT PBE" spacegroup=Cm e_form_ev_per_atom=-3.460 pbc="T T T"
O 3.701 2.052 0.106
O 1.910 3.941 11.799
La 1.935 1.968 13.277
Nb -0.010 3.913 4.410
La 1.959 1.945 2.007
O -0.038 1.994 11.799
O 3.876 1.973 3.892
O 1.930 0.028 3.892
O 3.849 0.054 1.985
O 1.852 0.203 0.106
Ti -0.034 3.938 11.247
O 3.866 0.037 9.522
Cs 1.924 1.979 7.994
O 3.818 0.086 13.776
Ti 3.790 0.113 15.641
O -0.014 3.918 6.200

---

# 6
28
Lattice="-5.890 0.000 2.098 -2.945 8.400 1.049 -6.142 0.000 -11.207" Properties=species:S:1:pos:R:3 comment="FeWCl5, optimized geometry, DFT PBE" spacegroup=C2/c e_form_ev_per_atom=-1.143 pbc="T T T"
Cl -4.527 3.400 -3.179
Cl -7.652 3.416 -5.895
Cl -10.407 8.312 -4.870
W -9.024 5.341 -6.831
W -5.953 0.446 -1.228
W -9.024 7.955 -6.831
Cl -7.491 1.751 -2.479
Cl -4.685 1.461 -6.934
W -5.953 3.059 -1.228
Fe -8.897 5.059 -0.179
Fe -6.079 3.342 -7.881
Cl -7.503 6.939 0.768
Cl -4.581 4.984 -0.292
Cl -4.414 1.751 0.023
Cl -10.562 6.649 -8.082
Fe -9.024 1.496 -6.831
Fe -5.953 6.904 -1.228
Cl -1.447 0.088 -1.364
Cl -10.449 5.000 -4.881
Cl -4.569 0.088 -3.190
Cl -7.324 4.984 -2.164
Cl -10.292 6.939 -1.125
Cl -7.473 1.461 -8.827
Cl -13.529 8.312 -6.695
Cl -10.395 3.416 -7.768
Cl -7.378 3.400 0.723
Cl -7.598 5.000 -8.782
Cl -7.485 6.649 -5.581

---

Question: What is the formula in the first record?
Answer: ThS2O8